one | Material: Co3O2F4
Method: DFT, GGA+U
State: relaxed

a b c (Å): 6.429 6.951 9.231
angles (deg): 90.00 91.20 90.00
Space group C2/m (No. 12)
Asymmetric unit:
1 Co 0.000 0.000 0.000 x2
2 Co 0.000 0.500 0.500 x2
3 Co 0.002 0.000 0.344 x4
4 Co 0.034 0.500 0.169 x4
5 O 0.183 0.000 0.825 x4
6 O 0.198 0.000 0.493 x4
7 F 0.000 0.307 0.000 x4
8 F 0.005 0.307 0.332 x8
9 F 0.219 0.000 0.170 x4

two | Material: Co3O2F4
Method: DFT, GGA+U
State: relaxed

a b c (Å): 5.646 5.651 7.065
angles (deg): 73.79 73.55 73.12
Space group P1 (No. 1)
Asymmetric unit:
1 Co 0.000 0.000 0.000 x1
2 Co 0.004 0.034 0.493 x1
3 Co 0.319 0.330 0.161 x1
4 Co 0.353 0.365 0.687 x1
5 Co 0.681 0.673 0.836 x1
6 Co 0.694 0.647 0.334 x1
7 O 0.230 0.236 0.974 x1
8 O 0.601 0.580 0.623 x1
9 O 0.768 0.752 0.046 x1
10 O 0.972 0.369 0.335 x1
11 F 0.046 0.663 0.666 x1
12 F 0.122 0.116 0.696 x1
13 F 0.310 0.697 0.000 x1
14 F 0.382 0.962 0.337 x1
15 F 0.438 0.428 0.367 x1
16 F 0.653 0.044 0.674 x1
17 F 0.694 0.304 0.004 x1
18 F 0.907 0.899 0.307 x1

The structure with the most favorable energy is one; the runner-up is 20.8 kJ/mol of atoms above it.

one | Material: Li4Cr3NiO8
Method: DFT, GGA+U
State: relaxed

a b c (Å): 5.122 5.912 10.649
angles (deg): 73.94 76.19 73.22
Space group P-1 (No. 2)
Asymmetric unit:
1 Li 0.001 0.441 0.375 x2
2 Li 0.002 0.191 0.874 x2
3 Li 0.004 0.683 0.875 x2
4 Li 0.004 0.933 0.376 x2
5 Cr 0.499 0.875 0.750 x2
6 Cr 0.500 0.000 0.000 x1
7 Cr 0.500 0.252 0.501 x2
8 Cr 0.500 0.500 0.000 x1
9 Ni 0.500 0.375 0.750 x2
10 O 0.271 0.589 0.438 x2
11 O 0.272 0.209 0.685 x2
12 O 0.272 0.839 0.937 x2
13 O 0.273 0.459 0.184 x2
14 O 0.273 0.721 0.684 x2
15 O 0.274 0.337 0.937 x2
16 O 0.274 0.971 0.183 x2
17 O 0.275 0.088 0.434 x2

two | Material: Li4Cr3NiO8
Method: DFT, GGA+U
State: relaxed

a b c (Å): 10.273 5.925 5.110
angles (deg): 90.00 109.54 90.00
Space group C2/m (No. 12)
Asymmetric unit:
1 Li 0.249 0.000 0.499 x4
2 Li 0.250 0.250 0.000 x4
3 Cr 0.000 0.249 0.500 x4
4 Cr 0.000 0.500 0.000 x2
5 Ni 0.000 0.000 0.000 x2
6 O 0.112 0.266 0.240 x8
7 O 0.113 0.500 0.747 x4
8 O 0.115 0.000 0.734 x4

The structure with the most favorable energy is two; the runner-up is 0.5 kJ/mol of atoms above it.

one | Material: LiVF4
Method: DFT, GGA+U
State: relaxed

a b c (Å): 11.823 5.208 5.232
angles (deg): 90.00 102.07 90.00
Space group C2/c (No. 15)
Asymmetric unit:
1 Li 0.000 0.096 0.250 x4
2 V 0.250 0.250 0.000 x4
3 F 0.094 0.132 0.992 x8
4 F 0.201 0.424 0.663 x8

two | Material: LiVF4
Method: DFT, GGA+U
State: relaxed

a b c (Å): 10.514 3.125 5.499
angles (deg): 90.00 119.10 90.00
Space group C2/m (No. 12)
Asymmetric unit:
1 Li 0.000 0.000 0.000 x2
2 V 0.000 0.500 0.500 x2
3 F 0.092 0.500 0.899 x4
4 F 0.115 0.000 0.476 x4

The structure with the most favorable energy is one; the runner-up is 4.7 kJ/mol of atoms above it.

one | Material: CrH10SO9
Method: DFT, GGA+U
State: relaxed

a b c (Å): 6.088 6.277 11.068
angles (deg): 77.08 82.18 71.37
Space group P-1 (No. 2)
Asymmetric unit:
1 Cr 0.000 0.000 0.000 x1
2 Cr 0.000 0.500 0.500 x1
3 H 0.076 0.184 0.701 x2
4 H 0.111 0.313 0.104 x2
5 H 0.168 0.632 0.883 x2
6 H 0.234 0.784 0.516 x2
7 H 0.256 0.608 0.646 x2
8 H 0.313 0.903 0.304 x2
9 H 0.319 0.100 0.369 x2
10 H 0.331 0.152 0.628 x2
11 H 0.349 0.180 0.872 x2
12 H 0.441 0.900 0.889 x2
13 S 0.371 0.511 0.214 x2
14 O 0.021 0.737 0.912 x2
15 O 0.154 0.687 0.577 x2
16 O 0.160 0.198 0.619 x2
17 O 0.200 0.745 0.187 x2
18 O 0.307 0.036 0.901 x2
19 O 0.324 0.400 0.345 x2
20 O 0.357 0.367 0.127 x2
21 O 0.369 0.931 0.376 x2
22 O 0.388 0.463 0.800 x2

two | Material: CrH10SO9
Method: DFT, GGA+U
State: relaxed

a b c (Å): 5.891 7.268 12.396
angles (deg): 75.51 85.85 82.76
Space group P-1 (No. 2)
Asymmetric unit:
1 Cr 0.000 0.000 0.000 x1
2 Cr 0.000 0.500 0.500 x1
3 H 0.068 0.361 0.708 x2
4 H 0.173 0.785 0.490 x2
5 H 0.244 0.261 0.635 x2
6 H 0.253 0.716 0.964 x2
7 H 0.326 0.699 0.090 x2
8 H 0.340 0.091 0.460 x2
9 H 0.342 0.043 0.266 x2
10 H 0.395 0.293 0.399 x2
11 H 0.420 0.524 0.824 x2
12 H 0.439 0.327 0.790 x2
13 S 0.297 0.960 0.771 x2
14 O 0.015 0.756 0.512 x2
15 O 0.164 0.072 0.850 x2
16 O 0.179 0.388 0.645 x2
17 O 0.193 0.745 0.036 x2
18 O 0.251 0.499 0.423 x2
19 O 0.292 0.751 0.822 x2
20 O 0.438 0.996 0.208 x2
21 O 0.452 0.154 0.406 x2
22 O 0.461 0.384 0.851 x2

The structure with the most favorable energy is one; the runner-up is 23.8 kJ/mol of atoms above it.